Entry 1:
# GGA+U CaCr2O4, relaxed
# - Volume: 301.0 Å³/cell
# - Total energy after the MP2020 corrections: -8.568 eV per atom
# - ΔE to the lowest computed polymorph: 3 kJ/mol of formula units
# - E_form: -2696 meV/atom
data_CaCr2O4
_chemical_formula_sum 'Ca4 Cr8 O16'
_cell_length_a 9.200
_cell_length_b 3.034
_cell_length_c 10.785
_cell_angle_alpha 90.00
_cell_angle_beta 90.00
_cell_angle_gamma 90.00
_space_group_name_H-M_alt 'P n m a'
_space_group_IT_number 62
_space_group_name_Hall '-P 2ac 2n'
loop_
_atom_site_label
_atom_site_type_symbol
_atom_site_fract_x
_atom_site_fract_y
_atom_site_fract_z
_atom_site_occupancy
Ca1 Ca 0.240 0.250 0.159 1
Cr1 Cr 0.060 0.250 0.387 1
Cr2 Cr 0.084 0.250 0.899 1
O1 O 0.029 0.750 0.786 1
O2 O 0.082 0.250 0.574 1
O3 O 0.118 0.750 0.025 1
O4 O 0.202 0.750 0.338 1

=====

Entry 2:
# GGA+U CaCrO3, relaxed
# - Volume: 220.3 Å³/cell
# - Total energy after the MP2020 corrections: -7.919 eV per atom
# - E_form: -2618 meV/atom
data_CaCrO3
_chemical_formula_sum 'Ca4 Cr4 O12'
_cell_length_a 5.472
_cell_length_b 7.549
_cell_length_c 5.333
_cell_angle_alpha 90.00
_cell_angle_beta 90.00
_cell_angle_gamma 90.00
_space_group_name_H-M_alt 'P n m a'
_space_group_IT_number 62
_space_group_name_Hall '-P 2ac 2n'
loop_
_atom_site_label
_atom_site_type_symbol
_atom_site_fract_x
_atom_site_fract_y
_atom_site_fract_z
_atom_site_occupancy
Ca1 Ca 0.045 0.250 0.008 1
Cr1 Cr 0.000 0.000 0.500 1
O1 O 0.021 0.750 0.423 1
O2 O 0.203 0.540 0.788 1

=====

Entry 3:
# GGA+U CaCr2O4, relaxed
# - Volume: 343.8 Å³/cell
# - Total energy after the MP2020 corrections: -8.283 eV per atom
# - ΔE to the lowest computed polymorph: 196 kJ/mol of formula units
# - E_form: -2411 meV/atom
data_CaCr2O4
_chemical_formula_sum 'Ca4 Cr8 O16'
_cell_length_a 6.188
_cell_length_b 6.425
_cell_length_c 8.648
_cell_angle_alpha 90.00
_cell_angle_beta 90.00
_cell_angle_gamma 90.00
_space_group_name_H-M_alt 'I m m a'
_space_group_IT_number 74
_space_group_name_Hall '-I 2b 2'
loop_
_atom_site_label
_atom_site_type_symbol
_atom_site_fract_x
_atom_site_fract_y
_atom_site_fract_z
_atom_site_occupancy
Ca1 Ca 0.000 0.000 0.000 1
Cr1 Cr 0.000 0.250 0.382 1
Cr2 Cr 0.250 0.250 0.750 1
O1 O 0.000 0.030 0.735 1
O2 O 0.244 0.250 0.514 1

=====

Entry 4:
# GGA+U CaCr2O4, relaxed
# - Largest piezoelectric modulus: 0.75 C/m²
# - Volume: 705.3 Å³/cell
# - Total energy after the MP2020 corrections: -8.491 eV per atom
# - ΔE to the lowest computed polymorph: 55 kJ/mol of formula units
# - E_form: -2619 meV/atom
data_CaCr2O4
_chemical_formula_sum 'Ca8 Cr16 O32'
_cell_length_a 10.398
_cell_length_b 6.028
_cell_length_c 11.780
_cell_angle_alpha 90.00
_cell_angle_beta 107.20
_cell_angle_gamma 90.00
_space_group_name_H-M_alt 'C 1 m 1'
_space_group_IT_number 8
_space_group_name_Hall 'C -2y'
loop_
_atom_site_label
_atom_site_type_symbol
_atom_site_fract_x
_atom_site_fract_y
_atom_site_fract_z
_atom_site_occupancy
Ca1 Ca 0.000 0.000 0.000 1
Ca2 Ca 0.000 0.500 0.500 1
Ca3 Ca 0.174 0.000 0.522 1
Ca4 Ca 0.174 0.500 0.022 1
Cr1 Cr 0.253 0.000 0.247 1
Cr2 Cr 0.253 0.500 0.747 1
Cr3 Cr 0.257 0.000 0.772 1
Cr4 Cr 0.257 0.500 0.272 1
Cr5 Cr 0.497 0.245 0.247 1
Cr6 Cr 0.497 0.255 0.747 1
O1 O 0.111 0.000 0.332 1
O2 O 0.111 0.000 0.850 1
O3 O 0.111 0.500 0.351 1
O4 O 0.111 0.500 0.832 1
O5 O 0.136 0.247 0.654 1
O6 O 0.136 0.253 0.154 1
O7 O 0.369 0.242 0.351 1
O8 O 0.370 0.257 0.851 1
O9 O 0.382 0.000 0.654 1
O10 O 0.382 0.500 0.154 1
O11 O 0.386 0.500 0.658 1
O12 O 0.387 0.000 0.158 1

=====

Entry 5:
# GGA+U Ca2CrO4, relaxed
# - Volume: 741.5 Å³/cell
# - Total energy after the MP2020 corrections: -7.596 eV per atom
# - E_form: -2817 meV/atom
data_Ca2CrO4
_chemical_formula_sum 'Ca16 Cr8 O32'
_cell_length_a 13.594
_cell_length_b 5.644
_cell_length_c 9.663
_cell_angle_alpha 90.00
_cell_angle_beta 90.00
_cell_angle_gamma 90.00
_space_group_name_H-M_alt 'P n a 21'
_space_group_IT_number 33
_space_group_name_Hall 'P 2c -2n'
loop_
_atom_site_label
_atom_site_type_symbol
_atom_site_fract_x
_atom_site_fract_y
_atom_site_fract_z
_atom_site_occupancy
Ca1 Ca 0.049 0.220 0.000 1
Ca2 Ca 0.121 0.185 0.646 1
Ca3 Ca 0.128 0.727 0.223 1
Ca4 Ca 0.202 0.681 0.873 1
Cr1 Cr 0.030 0.276 0.355 1
Cr2 Cr 0.226 0.677 0.512 1
O1 O 0.017 0.058 0.225 1
O2 O 0.027 0.456 0.787 1
O3 O 0.048 0.786 0.001 1
O4 O 0.120 0.853 0.473 1
O5 O 0.148 0.370 0.423 1
O6 O 0.191 0.114 0.868 1
O7 O 0.198 0.442 0.073 1
O8 O 0.242 0.493 0.664 1

=====

Entry 6:
# GGA+U CaCr2O4, relaxed
# - Volume: 1037.6 Å³/cell
# - Total energy after the MP2020 corrections: -8.332 eV per atom
# - ΔE to the lowest computed polymorph: 162 kJ/mol of formula units
# - E_form: -2460 meV/atom
data_CaCr2O4
_chemical_formula_sum 'Ca12 Cr24 O48'
_cell_length_a 10.975
_cell_length_b 6.200
_cell_length_c 15.261
_cell_angle_alpha 90.00
_cell_angle_beta 92.45
_cell_angle_gamma 90.00
_space_group_name_H-M_alt 'C 1 m 1'
_space_group_IT_number 8
_space_group_name_Hall 'C -2y'
loop_
_atom_site_label
_atom_site_type_symbol
_atom_site_fract_x
_atom_site_fract_y
_atom_site_fract_z
_atom_site_occupancy
Ca1 Ca 0.000 0.000 0.000 1
Ca2 Ca 0.000 0.000 0.373 1
Ca3 Ca 0.001 0.500 0.877 1
Ca4 Ca 0.168 0.500 0.712 1
Ca5 Ca 0.171 0.000 0.209 1
Ca6 Ca 0.334 0.500 0.542 1
Cr1 Cr 0.008 0.000 0.752 1
Cr2 Cr 0.084 0.248 0.542 1
Cr3 Cr 0.163 0.500 0.333 1
Cr4 Cr 0.188 0.500 0.082 1
Cr5 Cr 0.255 0.244 0.877 1
Cr6 Cr 0.329 0.000 0.665 1
Cr7 Cr 0.336 0.000 0.039 1
Cr8 Cr 0.340 0.000 0.419 1
Cr9 Cr 0.418 0.246 0.208 1
O1 O 0.004 0.500 0.612 1
O2 O 0.020 0.000 0.620 1
O3 O 0.075 0.263 0.285 1
O4 O 0.093 0.239 0.801 1
O5 O 0.149 0.500 0.464 1
O6 O 0.165 0.000 0.472 1
O7 O 0.187 0.500 0.955 1
O8 O 0.193 0.000 0.951 1
O9 O 0.240 0.241 0.621 1
O10 O 0.269 0.243 0.120 1
O11 O 0.317 0.000 0.795 1
O12 O 0.331 0.500 0.277 1
O13 O 0.338 0.500 0.810 1
O14 O 0.353 0.000 0.288 1
O15 O 0.396 0.220 0.960 1
O16 O 0.428 0.242 0.463 1
O17 O 0.483 0.000 0.129 1
O18 O 0.484 0.500 0.145 1

=====

> total energy after the MP2020 corrections of number 2 (CaCrO3)?

-7.919 eV per atom

=====

> Which value of E_form does entry 2 give?

-2618 meV/atom

=====

> The lowest volume belongs to which entry?

CaCrO3